Entry 1:
Material: Li12Mn7VP12O48
Method: DFT, PBE with a Hubbard U
State: optimized geometry

a b c (Å): 8.6395 8.7365 12.3021
angles (deg): 89.60 87.68 89.36
Positions (direct):
Li: 0.0000 0.0000 0.0000
Li: 0.0000 0.3910 0.0645
Li: 0.1326 0.0850 0.5880
Li: 0.2155 0.5883 0.4353
Li: 0.3432 0.5030 0.0216
Li: 0.3426 0.8878 0.9576
Li: 0.5045 0.7244 0.5645
Li: 0.5065 0.1120 0.4986
Li: 0.6297 0.0233 0.0892
Li: 0.7154 0.5249 0.9333
Li: 0.8430 0.6112 0.5246
Li: 0.8442 0.2256 0.4595
Mn: 0.1701 0.8439 0.1596
Mn: 0.1719 0.7640 0.6523
Mn: 0.1751 0.2651 0.3715
Mn: 0.6706 0.3492 0.1515
Mn: 0.6719 0.2693 0.6594
Mn: 0.6751 0.8465 0.8703
Mn: 0.6756 0.7691 0.3632
V: 0.1751 0.3378 0.8689
P: 0.0261 0.4047 0.6091
P: 0.0257 0.6922 0.9026
P: 0.3171 0.1897 0.1165
P: 0.3231 0.9051 0.4162
P: 0.3883 0.0561 0.7550
P: 0.4623 0.5532 0.7665
P: 0.5229 0.7071 0.1063
P: 0.5282 0.4235 0.4023
P: 0.8183 0.2063 0.9185
P: 0.8209 0.9223 0.6211
P: 0.8831 0.0555 0.2575
P: 0.9628 0.5588 0.2666
O: 0.9996 0.1985 0.9133
O: 0.0277 0.6791 0.1851
O: 0.0584 0.7035 0.7787
O: 0.0626 0.5242 0.9402
O: 0.0679 0.2815 0.5177
O: 0.0741 0.5651 0.5675
O: 0.0949 0.4815 0.3275
O: 0.0970 0.3517 0.7134
O: 0.1183 0.8119 0.9639
O: 0.2248 0.3082 0.0478
O: 0.2527 0.8503 0.3138
O: 0.2563 0.9813 0.6959
O: 0.2728 0.0674 0.4544
O: 0.2795 0.0206 0.0839
O: 0.2794 0.2110 0.2390
O: 0.2827 0.7829 0.5082
O: 0.3212 0.1740 0.8367
O: 0.3410 0.6992 0.1110
O: 0.3527 0.4025 0.4284
O: 0.3525 0.4849 0.8572
O: 0.3753 0.6715 0.6952
O: 0.4749 0.9378 0.8259
O: 0.4925 0.2100 0.0929
O: 0.4973 0.1269 0.6640
O: 0.5050 0.9126 0.4121
O: 0.5248 0.4335 0.6829
O: 0.5588 0.4106 0.2781
O: 0.5619 0.8286 0.0139
O: 0.5657 0.5921 0.4377
O: 0.5742 0.5451 0.0675
O: 0.5941 0.7630 0.2084
O: 0.5964 0.6276 0.8234
O: 0.6232 0.3030 0.4642
O: 0.7278 0.8032 0.5595
O: 0.7469 0.2640 0.8161
O: 0.7504 0.1337 0.1975
O: 0.7689 0.0462 0.9589
O: 0.7807 0.3307 0.0096
O: 0.7842 0.0917 0.5842
O: 0.7890 0.9117 0.7449
O: 0.8180 0.9343 0.3382
O: 0.8439 0.4115 0.6128
O: 0.8484 0.7147 0.9276
O: 0.8529 0.6283 0.3584
O: 0.8776 0.4440 0.1960
O: 0.9690 0.1695 0.3289
O: 0.9928 0.9863 0.1655
O: 0.9978 0.8999 0.5954

ΔE_f ... -2.5813 eV/atom
DFT total energy ... -558.736 eV/cell
Symmetry ... P1
Distance to the lowest polymorph of the same formula ... 0.0 meV/atom

=====

Entry 2:
Material: Li6MnV3P6O24
Method: DFT, PBE with a Hubbard U
State: optimized geometry

a b c (Å): 8.4918 8.8397 12.4225
angles (deg): 90.00 92.17 90.00
Positions (direct):
Li: 0.0000 0.0000 0.0000
Li: 0.9999 0.1015 0.2493
Li: 0.0001 0.1015 0.7507
Li: 0.0000 0.2027 0.5000
Li: 0.2908 0.3002 0.1996
Li: 0.2932 0.9082 0.7013
Li: 0.4929 0.6043 0.2492
Li: 0.5000 0.5053 0.5000
Li: 0.5000 0.7034 0.0000
Li: 0.5071 0.6043 0.7508
Li: 0.7068 0.9082 0.2987
Li: 0.7092 0.3002 0.8004
Mn: 0.2090 0.6018 0.1024
Mn: 0.7910 0.6018 0.8976
V: 0.2125 0.6019 0.6060
V: 0.2835 0.0990 0.3919
V: 0.2847 0.1054 0.8911
V: 0.7153 0.1054 0.1089
V: 0.7165 0.0990 0.6081
V: 0.7875 0.6019 0.3940
P: 0.0000 0.3006 0.0000
P: 0.0000 0.8984 0.5000
P: 0.1560 0.7483 0.8532
P: 0.1568 0.4566 0.3560
P: 0.3503 0.2496 0.6463
P: 0.3515 0.9561 0.1468
P: 0.5000 0.3956 0.0000
P: 0.5000 0.8094 0.5000
P: 0.6485 0.9561 0.8532
P: 0.6497 0.2496 0.3537
P: 0.8432 0.4566 0.6440
P: 0.8440 0.7483 0.1468
O: 0.0119 0.5148 0.6455
O: 0.0144 0.6925 0.1456
O: 0.0673 0.0078 0.4141
O: 0.0694 0.1897 0.9149
O: 0.1260 0.3918 0.0625
O: 0.1271 0.8041 0.5599
O: 0.1419 0.2798 0.3437
O: 0.1451 0.9252 0.8379
O: 0.2458 0.5049 0.4611
O: 0.2491 0.6938 0.7544
O: 0.2522 0.1655 0.7316
O: 0.2532 0.0415 0.2316
O: 0.2544 0.7031 0.9534
O: 0.2587 0.5080 0.2621
O: 0.2749 0.1974 0.5374
O: 0.2767 0.0074 0.0374
O: 0.3460 0.4244 0.6594
O: 0.3532 0.7822 0.1597
O: 0.3819 0.2985 0.9360
O: 0.3823 0.9072 0.4363
O: 0.4250 0.5018 0.0857
O: 0.4277 0.7018 0.5852
O: 0.4723 0.0008 0.8405
O: 0.4731 0.2101 0.3417
O: 0.5269 0.2101 0.6583
O: 0.5277 0.0008 0.1595
O: 0.5723 0.7018 0.4148
O: 0.5750 0.5018 0.9143
O: 0.6181 0.2985 0.0640
O: 0.6177 0.9072 0.5637
O: 0.6468 0.7822 0.8403
O: 0.6540 0.4244 0.3406
O: 0.7233 0.0074 0.9626
O: 0.7251 0.1974 0.4626
O: 0.7413 0.5080 0.7379
O: 0.7456 0.7031 0.0466
O: 0.7468 0.0415 0.7684
O: 0.7478 0.1655 0.2684
O: 0.7509 0.6938 0.2456
O: 0.7542 0.5049 0.5389
O: 0.8549 0.9252 0.1621
O: 0.8581 0.2798 0.6563
O: 0.8729 0.8041 0.4401
O: 0.8740 0.3918 0.9375
O: 0.9306 0.1897 0.0851
O: 0.9327 0.0078 0.5859
O: 0.9856 0.6925 0.8544
O: 0.9881 0.5148 0.3545

ΔE_f ... -2.6448 eV/atom
DFT total energy ... -563.267 eV/cell
Symmetry ... P2
Distance to the lowest polymorph of the same formula ... 41.3 meV/atom

=====

Entry 3:
Material: LiMnVP4O14
Method: DFT, PBE with a Hubbard U
State: optimized geometry

a b c (Å): 7.1484 8.1598 18.0591
angles (deg): 88.39 89.63 88.78
Positions (direct):
Li: 0.0000 0.0000 0.0000
Li: 0.0966 0.4936 0.2489
Li: 0.2509 0.9993 0.7494
Li: 0.5010 0.9993 0.4992
Mn: 0.1417 0.1285 0.2531
Mn: 0.4026 0.1433 0.0048
Mn: 0.6521 0.1425 0.7542
Mn: 0.9012 0.1430 0.5039
V: 0.2061 0.6294 0.7468
V: 0.4576 0.6307 0.4974
V: 0.7005 0.6420 0.2469
V: 0.9560 0.6313 0.9964
P: 0.0355 0.8189 0.1538
P: 0.0544 0.3135 0.0957
P: 0.1650 0.4228 0.5928
P: 0.1741 0.9160 0.4073
P: 0.2830 0.8156 0.9048
P: 0.3055 0.3118 0.8461
P: 0.4198 0.4238 0.3436
P: 0.4255 0.9182 0.1571
P: 0.5336 0.8147 0.6550
P: 0.5558 0.3119 0.5959
P: 0.6655 0.4244 0.0940
P: 0.6736 0.9177 0.9068
P: 0.7827 0.8141 0.4047
P: 0.8091 0.3105 0.3453
P: 0.9149 0.4222 0.8432
P: 0.9244 0.9175 0.6567
O: 0.0057 0.7874 0.4145
O: 0.0832 0.2849 0.8381
O: 0.0941 0.4843 0.0622
O: 0.0962 0.8230 0.6881
O: 0.1053 0.3128 0.1780
O: 0.1340 0.0683 0.4529
O: 0.1408 0.1745 0.0509
O: 0.1524 0.4716 0.6750
O: 0.1948 0.6723 0.9478
O: 0.2075 0.9558 0.3255
O: 0.2254 0.5753 0.5463
O: 0.2276 0.9807 0.9357
O: 0.2449 0.3462 0.3158
O: 0.2463 0.8077 0.8205
O: 0.2587 0.7860 0.1632
O: 0.3331 0.2857 0.5885
O: 0.3439 0.4834 0.8124
O: 0.3452 0.8219 0.4394
O: 0.3560 0.3081 0.9277
O: 0.3749 0.0672 0.2032
O: 0.3905 0.1744 0.7997
O: 0.4042 0.4687 0.4257
O: 0.4462 0.6707 0.6978
O: 0.4555 0.9647 0.0753
O: 0.4688 0.5777 0.2959
O: 0.4777 0.9800 0.6855
O: 0.4942 0.3399 0.0694
O: 0.4966 0.8080 0.5706
O: 0.5061 0.7885 0.9147
O: 0.5854 0.2873 0.3372
O: 0.5946 0.4836 0.5626
O: 0.5955 0.8189 0.1850
O: 0.6065 0.3084 0.6775
O: 0.6340 0.0689 0.9531
O: 0.6399 0.1743 0.5495
O: 0.6546 0.4783 0.1754
O: 0.6957 0.6710 0.4488
O: 0.7038 0.9617 0.8249
O: 0.7266 0.5746 0.0462
O: 0.7266 0.9796 0.4344
O: 0.7447 0.3379 0.8180
O: 0.7457 0.7979 0.3211
O: 0.7568 0.7883 0.6646
O: 0.8327 0.2862 0.0892
O: 0.8452 0.8234 0.9381
O: 0.8497 0.4804 0.3089
O: 0.8534 0.3105 0.4277
O: 0.8846 0.0686 0.7031
O: 0.9009 0.1738 0.3018
O: 0.9032 0.4693 0.9254
O: 0.9543 0.6733 0.1991
O: 0.9540 0.9619 0.5748
O: 0.9750 0.5751 0.7967
O: 0.9830 0.9843 0.1823
O: 0.9946 0.3383 0.5682
O: 0.9949 0.8075 0.0699

ΔE_f ... -2.5914 eV/atom
DFT total energy ... -610.048 eV/cell
Symmetry ... P1
Distance to the lowest polymorph of the same formula ... 3.8 meV/atom

=====

Entry 4:
Material: Li3MnVP3O12
Method: DFT, PBE with a Hubbard U
State: optimized geometry

a b c (Å): 8.6609 8.7575 15.0815
angles (deg): 73.26 74.39 61.55
Positions (direct):
Li: 0.0000 0.0000 0.0000
Li: 0.0090 0.0955 0.3675
Li: 0.0386 0.7936 0.6374
Li: 0.0859 0.5183 0.4427
Li: 0.1307 0.3692 0.1312
Li: 0.1910 0.1356 0.7938
Li: 0.4990 0.5013 0.5017
Li: 0.5099 0.5936 0.8671
Li: 0.5363 0.2930 0.1377
Li: 0.5867 0.0178 0.9434
Li: 0.6281 0.8690 0.6319
Li: 0.6929 0.6374 0.2938
Mn: 0.1118 0.7219 0.8860
Mn: 0.3047 0.9051 0.4873
Mn: 0.3573 0.9786 0.1332
Mn: 0.6105 0.2236 0.3865
V: 0.0436 0.6613 0.2357
V: 0.5442 0.1581 0.7363
V: 0.7991 0.4027 0.9915
V: 0.8564 0.4786 0.6339
P: 0.2316 0.2679 0.9389
P: 0.2999 0.2241 0.2894
P: 0.3113 0.2160 0.5742
P: 0.3389 0.6609 0.0469
P: 0.3480 0.6807 0.3350
P: 0.4221 0.6043 0.6880
P: 0.7329 0.7704 0.4375
P: 0.8018 0.7184 0.7904
P: 0.8122 0.7193 0.0748
P: 0.8401 0.1611 0.5475
P: 0.8474 0.1739 0.8361
P: 0.9236 0.1070 0.1875
O: 0.0305 0.0114 0.5374
O: 0.0306 0.0134 0.8491
O: 0.0618 0.2383 0.9567
O: 0.0907 0.1431 0.1651
O: 0.1193 0.3597 0.5714
O: 0.1228 0.3961 0.2833
O: 0.1906 0.4558 0.9394
O: 0.2065 0.6325 0.3222
O: 0.2268 0.5747 0.1219
O: 0.2489 0.0874 0.3640
O: 0.2634 0.7571 0.4283
O: 0.2826 0.7200 0.9473
O: 0.2935 0.7196 0.6164
O: 0.3181 0.8286 0.0683
O: 0.3359 0.6470 0.7872
O: 0.3416 0.1980 0.8475
O: 0.3486 0.0394 0.5507
O: 0.3526 0.1502 0.0169
O: 0.3579 0.1607 0.6748
O: 0.3740 0.1734 0.1903
O: 0.3940 0.8119 0.2513
O: 0.4284 0.3015 0.5022
O: 0.4489 0.2550 0.3094
O: 0.4793 0.4108 0.6824
O: 0.5287 0.5188 0.3497
O: 0.5306 0.5104 0.0370
O: 0.5656 0.7357 0.4555
O: 0.5909 0.6397 0.6642
O: 0.6210 0.8636 0.0708
O: 0.6244 0.8885 0.7827
O: 0.6859 0.9596 0.4382
O: 0.7088 0.1243 0.8207
O: 0.7262 0.0760 0.6217
O: 0.7541 0.5807 0.8676
O: 0.7639 0.2472 0.9290
O: 0.7815 0.2244 0.4482
O: 0.7950 0.2256 0.1144
O: 0.8186 0.3291 0.5714
O: 0.8331 0.1507 0.2859
O: 0.8414 0.7031 0.3450
O: 0.8493 0.5440 0.0510
O: 0.8546 0.6526 0.5137
O: 0.8566 0.6659 0.1759
O: 0.8752 0.6624 0.6919
O: 0.8892 0.3088 0.7539
O: 0.9310 0.8025 0.0026
O: 0.9504 0.7516 0.8083
O: 0.9779 0.9155 0.1806

ΔE_f ... -2.6170 eV/atom
DFT total energy ... -561.261 eV/cell
Symmetry ... P1
Distance to the lowest polymorph of the same formula ... 38.4 meV/atom

=====

Entry 5:
Material: LiMnVP4O14
Method: DFT, PBE with a Hubbard U
State: optimized geometry

a b c (Å): 7.0351 8.1634 13.9829
angles (deg): 89.89 80.13 87.97
Positions (direct):
Li: 0.0000 0.0000 0.0000
Li: 0.1036 0.5052 0.5531
Li: 0.6649 0.0002 0.3343
Mn: 0.0640 0.8703 0.5421
Mn: 0.3889 0.8564 0.2049
Mn: 0.7230 0.8563 0.8715
V: 0.0349 0.3694 0.0120
V: 0.3691 0.3574 0.6841
V: 0.7019 0.3679 0.3451
P: 0.9999 0.1847 0.8124
P: 0.0369 0.5758 0.2057
P: 0.0695 0.0816 0.3508
P: 0.1016 0.6882 0.7445
P: 0.3344 0.1813 0.4772
P: 0.3695 0.5770 0.8722
P: 0.4030 0.0820 0.0168
P: 0.4376 0.6862 0.4130
P: 0.6671 0.1839 0.1449
P: 0.6969 0.5726 0.5405
P: 0.7339 0.0824 0.6843
P: 0.7694 0.6869 0.0790
O: 0.0066 0.9321 0.4132
O: 0.0900 0.4239 0.1396
O: 0.1280 0.8250 0.6700
O: 0.1467 0.5184 0.6942
O: 0.1659 0.2143 0.4116
O: 0.1930 0.2009 0.7411
O: 0.1977 0.6610 0.2391
O: 0.2122 0.0356 0.2591
O: 0.2132 0.5273 0.9588
O: 0.2257 0.1768 0.9910
O: 0.2396 0.6868 0.4786
O: 0.2658 0.7111 0.8103
O: 0.2978 0.3259 0.5494
O: 0.3126 0.0150 0.5216
O: 0.3358 0.9311 0.0768
O: 0.4278 0.4231 0.8079
O: 0.4703 0.8244 0.3391
O: 0.4790 0.5156 0.3662
O: 0.4986 0.2106 0.0807
O: 0.5287 0.1938 0.4062
O: 0.5298 0.6631 0.9054
O: 0.5414 0.5240 0.6259
O: 0.5477 0.0380 0.9256
O: 0.5654 0.1842 0.6564
O: 0.5727 0.6907 0.1439
O: 0.6000 0.7129 0.4800
O: 0.6391 0.3277 0.2169
O: 0.6424 0.0188 0.1946
O: 0.6738 0.9311 0.7441
O: 0.7563 0.4220 0.4732
O: 0.8060 0.8246 0.0044
O: 0.8115 0.5157 0.0328
O: 0.8346 0.2109 0.7470
O: 0.8606 0.1912 0.0732
O: 0.8695 0.6490 0.5700
O: 0.8757 0.0414 0.5911
O: 0.8811 0.5252 0.2924
O: 0.8913 0.1736 0.3242
O: 0.9069 0.6884 0.8116
O: 0.9321 0.7132 0.1461
O: 0.9701 0.3281 0.8848
O: 0.9795 0.0192 0.8608

ΔE_f ... -2.5915 eV/atom
DFT total energy ... -457.543 eV/cell
Symmetry ... P1
Distance to the lowest polymorph of the same formula ... 3.7 meV/atom

=====

Q: Among the records above, which one has the lowest distance to the lowest polymorph of the same formula?
A: Li12Mn7VP12O48

=====

Q: The lowest DFT total energy belongs to which entry?
A: number 3

=====

Q: Which value of DFT total energy does entry 2 give?
A: -563.267 eV/cell